# 1
Material: Tl2Mo3PCO12
Method: DFT, PBE+U
State: optimized geometry

Geometry as CIF:
```
data_Tl2Mo3PCO12
_chemical_formula_sum 'Tl2 Mo3 P1 C1 O12'
_cell_length_a 7.379
_cell_length_b 7.382
_cell_length_c 7.723
_cell_angle_alpha 61.49
_cell_angle_beta 61.86
_cell_angle_gamma 60.06
_symmetry_space_group_name_H-M 'P 1'
_symmetry_Int_Tables_number 1
loop_
_symmetry_equiv_pos_as_xyz
'x,y,z'
loop_
_atom_site_label
_atom_site_type_symbol
_atom_site_fract_x
_atom_site_fract_y
_atom_site_fract_z
_atom_site_occupancy
Tl1 Tl 0.000 0.000 0.000 1
Tl2 Tl 0.384 0.382 0.853 1
Mo1 Mo 0.039 0.495 0.491 1
Mo2 Mo 0.497 0.977 0.490 1
Mo3 Mo 0.977 0.036 0.492 1
P1 P 0.710 0.700 0.890 1
C1 C 0.597 0.617 0.169 1
O1 O 0.092 0.725 0.466 1
O2 O 0.117 0.134 0.231 1
O3 O 0.131 0.518 0.231 1
O4 O 0.258 0.893 0.583 1
O5 O 0.270 0.255 0.583 1
O6 O 0.494 0.834 0.830 1
O7 O 0.516 0.118 0.230 1
O8 O 0.717 0.088 0.470 1
O9 O 0.726 0.717 0.470 1
O10 O 0.847 0.842 0.819 1
O11 O 0.853 0.492 0.819 1
O12 O 0.894 0.267 0.583 1
```

## Properties
ΔH_f (0 K) ... -1.5112 eV/atom
Size of the total moment ... 1.0 μB/cell
ρ ... 5.074 g cm⁻³

# 2
Material: NiC4S4N2O12
Method: DFT, PBE+U
State: optimized geometry

Geometry as CIF:
```
data_NiC4S4N2O12
_chemical_formula_sum 'Ni1 C4 S4 N2 O12'
_cell_length_a 7.574
_cell_length_b 8.053
_cell_length_c 9.909
_cell_angle_alpha 66.77
_cell_angle_beta 85.22
_cell_angle_gamma 67.52
_symmetry_space_group_name_H-M 'P -1'
_symmetry_Int_Tables_number 2
loop_
_symmetry_equiv_pos_as_xyz
'x,y,z'
'-x,-y,-z'
loop_
_atom_site_label
_atom_site_type_symbol
_atom_site_fract_x
_atom_site_fract_y
_atom_site_fract_z
_atom_site_occupancy
Ni1 Ni 0.000 0.000 0.000 1
C1 C 0.286 0.143 0.401 1
C2 C 0.358 0.373 0.606 1
S1 S 0.221 0.581 0.817 1
S2 S 0.327 0.165 0.060 1
N1 N 0.293 0.372 0.944 1
O1 O 0.073 0.774 0.188 1
O2 O 0.080 0.093 0.790 1
O3 O 0.128 0.185 0.425 1
O4 O 0.156 0.108 0.079 1
O5 O 0.374 0.658 0.772 1
O6 O 0.493 0.729 0.335 1
```

## Properties
ΔH_f (0 K) ... -0.2775 eV/atom
Size of the total moment ... 2.0 μB/cell
ρ ... 1.477 g cm⁻³

# 3
Material: NiC14S2N2O3
Method: DFT, PBE+U
State: optimized geometry

Geometry as CIF:
```
data_NiC14S2N2O3
_chemical_formula_sum 'Ni4 C56 S8 N8 O12'
_cell_length_a 10.983
_cell_length_b 11.482
_cell_length_c 14.662
_cell_angle_alpha 90.00
_cell_angle_beta 129.08
_cell_angle_gamma 90.00
_symmetry_space_group_name_H-M 'P 1 21/c 1'
_symmetry_Int_Tables_number 14
loop_
_symmetry_equiv_pos_as_xyz
'x,y,z'
'-x,-y,-z'
'-x,y+1/2,-z+1/2'
'x,-y+1/2,z+1/2'
loop_
_atom_site_label
_atom_site_type_symbol
_atom_site_fract_x
_atom_site_fract_y
_atom_site_fract_z
_atom_site_occupancy
Ni1 Ni 0.137 0.054 0.120 1
C1 C 0.126 0.074 0.647 1
C2 C 0.190 0.184 0.681 1
C3 C 0.276 0.074 0.751 1
C4 C 0.311 0.655 0.987 1
C5 C 0.347 0.066 0.523 1
C6 C 0.362 0.743 0.515 1
C7 C 0.385 0.549 0.045 1
C8 C 0.396 0.194 0.315 1
C9 C 0.403 0.614 0.799 1
C10 C 0.419 0.094 0.848 1
C11 C 0.434 0.154 0.591 1
C12 C 0.452 0.081 0.346 1
C13 C 0.454 0.729 0.824 1
C14 C 0.490 0.200 0.888 1
S1 S 0.008 0.542 0.309 1
S2 S 0.091 0.097 0.918 1
N1 N 0.244 0.213 0.208 1
N2 N 0.352 0.511 0.773 1
O1 O 0.030 0.612 0.560 1
O2 O 0.107 0.199 0.869 1
O3 O 0.238 0.064 0.038 1
```

## Properties
ΔH_f (0 K) ... 0.6915 eV/atom
Size of the total moment ... 0.0 μB/cell
ρ ... 1.698 g cm⁻³

# 4
Material: V3P2C2N6O14
Method: DFT, PBE+U
State: optimized geometry

Geometry as CIF:
```
data_V3P2C2N6O14
_chemical_formula_sum 'V12 P8 C8 N24 O56'
_cell_length_a 12.453
_cell_length_b 7.197
_cell_length_c 17.998
_cell_angle_alpha 90.00
_cell_angle_beta 97.55
_cell_angle_gamma 90.00
_symmetry_space_group_name_H-M 'C 1 2/c 1'
_symmetry_Int_Tables_number 15
loop_
_symmetry_equiv_pos_as_xyz
'x,y,z'
'-x,-y,-z'
'-x,y,-z+1/2'
'x,-y,z+1/2'
'x+1/2,y+1/2,z'
'-x+1/2,-y+1/2,-z'
'-x+1/2,y+1/2,-z+1/2'
'x+1/2,-y+1/2,z+1/2'
loop_
_atom_site_label
_atom_site_type_symbol
_atom_site_fract_x
_atom_site_fract_y
_atom_site_fract_z
_atom_site_occupancy
V1 V 0.000 0.177 0.250 1
V2 V 0.235 0.081 0.741 1
P1 P 0.192 0.136 0.382 1
C1 C 0.067 0.286 0.976 1
N1 N 0.020 0.198 0.561 1
N2 N 0.076 0.299 0.052 1
N3 N 0.144 0.363 0.939 1
O1 O 0.068 0.136 0.353 1
O2 O 0.099 0.329 0.231 1
O3 O 0.100 0.042 0.725 1
O4 O 0.206 0.121 0.469 1
O5 O 0.219 0.360 0.773 1
O6 O 0.243 0.040 0.850 1
O7 O 0.245 0.313 0.355 1
```

## Properties
ΔH_f (0 K) ... -0.7880 eV/atom
Size of the total moment ... 43.5 μB/cell
ρ ... 2.271 g cm⁻³

# 5
Material: SiW12C16N4O40
Method: DFT, PBE+U
State: optimized geometry

Geometry as CIF:
```
data_SiW12C16N4O40
_chemical_formula_sum 'Si2 W24 C32 N8 O80'
_cell_length_a 14.047
_cell_length_b 14.047
_cell_length_c 12.146
_cell_angle_alpha 90.00
_cell_angle_beta 90.00
_cell_angle_gamma 90.00
_symmetry_space_group_name_H-M 'I -4'
_symmetry_Int_Tables_number 82
loop_
_symmetry_equiv_pos_as_xyz
'x,y,z'
'y,-x,-z'
'-x,-y,z'
'-y,x,-z'
'x+1/2,y+1/2,z+1/2'
'y+1/2,-x+1/2,-z+1/2'
'-x+1/2,-y+1/2,z+1/2'
'-y+1/2,x+1/2,-z+1/2'
loop_
_atom_site_label
_atom_site_type_symbol
_atom_site_fract_x
_atom_site_fract_y
_atom_site_fract_z
_atom_site_occupancy
Si1 Si 0.000 0.000 0.000 1
W1 W 0.050 0.737 0.489 1
W2 W 0.105 0.137 0.301 1
W3 W 0.120 0.153 0.702 1
C1 C 0.041 0.883 0.077 1
C2 C 0.067 0.642 0.964 1
C3 C 0.088 0.728 0.011 1
C4 C 0.134 0.637 0.046 1
N1 N 0.069 0.821 0.005 1
O1 O 0.008 0.863 0.390 1
O2 O 0.016 0.883 0.755 1
O3 O 0.037 0.863 0.184 1
O4 O 0.055 0.219 0.593 1
O5 O 0.069 0.616 0.510 1
O6 O 0.088 0.308 0.399 1
O7 O 0.135 0.218 0.198 1
O8 O 0.140 0.800 0.593 1
O9 O 0.143 0.237 0.803 1
O10 O 0.148 0.761 0.367 1
```

## Properties
ΔH_f (0 K) ... -1.0874 eV/atom
Size of the total moment ... 16.0 μB/cell
ρ ... 4.326 g cm⁻³

# 6
Material: SiW12C16N4O40
Method: DFT, PBE+U
State: optimized geometry

Geometry as CIF:
```
data_SiW12C16N4O40
_chemical_formula_sum 'Si2 W24 C32 N8 O80'
_cell_length_a 14.216
_cell_length_b 14.216
_cell_length_c 12.713
_cell_angle_alpha 90.00
_cell_angle_beta 90.00
_cell_angle_gamma 90.00
_symmetry_space_group_name_H-M 'I -4'
_symmetry_Int_Tables_number 82
loop_
_symmetry_equiv_pos_as_xyz
'x,y,z'
'y,-x,-z'
'-x,-y,z'
'-y,x,-z'
'x+1/2,y+1/2,z+1/2'
'y+1/2,-x+1/2,-z+1/2'
'-x+1/2,-y+1/2,z+1/2'
'-y+1/2,x+1/2,-z+1/2'
loop_
_atom_site_label
_atom_site_type_symbol
_atom_site_fract_x
_atom_site_fract_y
_atom_site_fract_z
_atom_site_occupancy
Si1 Si 0.000 0.000 0.000 1
W1 W 0.048 0.254 0.491 1
W2 W 0.073 0.860 0.328 1
W3 W 0.112 0.852 0.698 1
C1 C 0.049 0.365 0.037 1
C2 C 0.058 0.109 0.944 1
C3 C 0.076 0.204 0.961 1
C4 C 0.128 0.156 0.884 1
N1 N 0.055 0.285 0.007 1
O1 O 0.015 0.099 0.422 1
O2 O 0.017 0.107 0.727 1
O3 O 0.031 0.148 0.226 1
O4 O 0.048 0.734 0.379 1
O5 O 0.053 0.774 0.590 1
O6 O 0.076 0.369 0.523 1
O7 O 0.130 0.184 0.587 1
O8 O 0.133 0.772 0.798 1
O9 O 0.142 0.228 0.381 1
O10 O 0.156 0.815 0.190 1
```

## Properties
ΔH_f (0 K) ... -1.1630 eV/atom
Size of the total moment ... 0.0 μB/cell
ρ ... 4.036 g cm⁻³